(1)
Tb3TaO7 | r²SCAN | optimized geometry

a = 7.526 Å, b = 10.526 Å, c = 7.460 Å
α = 90.00°, β = 90.00°, γ = 90.00°
Space group C222_1 (No. 20)
Unique sites:
Tb 0.033 0.000 0.000
Tb 0.233 0.268 0.758
Ta 0.002 0.500 0.000
O 0.000 0.129 0.250
O 0.000 0.139 0.750
O 0.000 0.433 0.750
O 0.180 0.372 0.042
O 0.204 0.377 0.475

Values from the calculation:
Calculated density   8.7 Mg/m³
Spin magnetization   0.00 μB/f.u.
Formation enthalpy at 0 K   -3.745 eV per atom

=====

(2)
Ta2Te2O9 | r²SCAN | optimized geometry

a = 7.146 Å, b = 7.544 Å, c = 14.733 Å
α = 90.00°, β = 102.77°, γ = 90.00°
Space group P2_1/c (No. 14)
Unique sites:
Ta 0.055 0.201 0.433
Ta 0.367 0.004 0.099
Te 0.128 0.637 0.316
Te 0.463 0.061 0.334
O 0.000 0.000 0.500
O 0.095 0.591 0.189
O 0.116 0.098 0.853
O 0.173 0.669 0.552
O 0.210 0.198 0.044
O 0.277 0.047 0.221
O 0.286 0.063 0.410
O 0.398 0.657 0.332
O 0.482 0.194 0.829
O 0.500 0.000 0.000

Values from the calculation:
Calculated density   6.5 Mg/m³
Spin magnetization   0.00 μB/f.u.
Formation enthalpy at 0 K   -2.194 eV per atom